First-principles (PBE) data for a geometry-optimized Sr3Al2Ge2 structure, as listed in the Materials Project database.

CIF file:
```
data_Sr3Al2Ge2
_space_group_name_H-M_alt 'I m m m'
_space_group_IT_number 71
_space_group_name_Hall '-I 2 2'
_cell_length_a 4.2519
_cell_length_b 4.8667
_cell_length_c 19.3880
_cell_angle_alpha 90.00
_cell_angle_beta 90.00
_cell_angle_gamma 90.00
loop_
_atom_site_label
_atom_site_type_symbol
_atom_site_fract_x
_atom_site_fract_y
_atom_site_fract_z
Sr1 Sr 0.0000 0.0000 0.0000
Sr2 Sr 0.0000 0.5000 0.3155
Al1 Al 0.0000 0.0000 0.4336
Ge1 Ge 0.0000 0.5000 0.1412
```

Values from the calculation:
- Crystal system: orthorhombic
- Energy of formation: -496 meV/atom


First-principles (PBE) data for a geometry-optimized SrAlGe structure, as listed in the Materials Project database.

CIF file:
```
data_SrAlGe
_space_group_name_H-M_alt 'P -6 m 2'
_space_group_IT_number 187
_space_group_name_Hall 'P -6 2'
_cell_length_a 4.3284
_cell_length_b 4.3284
_cell_length_c 4.7663
_cell_angle_alpha 90.00
_cell_angle_beta 90.00
_cell_angle_gamma 120.00
loop_
_atom_site_label
_atom_site_type_symbol
_atom_site_fract_x
_atom_site_fract_y
_atom_site_fract_z
Sr1 Sr 0.0000 0.0000 0.0000
Al1 Al 0.6667 0.3333 0.5000
Ge1 Ge 0.3333 0.6667 0.5000
```

Values from the calculation:
- Crystal system: hexagonal
- Energy of formation: -470 meV/atom


First-principles (PBE) data for a geometry-optimized Tb2Al3Ge4 structure, as listed in the Materials Project database.

CIF file:
```
data_Tb2Al3Ge4
_space_group_name_H-M_alt 'C m c e'
_space_group_IT_number 64
_space_group_name_Hall '-C 2ac 2'
_cell_length_a 6.0309
_cell_length_b 14.8458
_cell_length_c 7.9157
_cell_angle_alpha 90.00
_cell_angle_beta 90.00
_cell_angle_gamma 90.00
loop_
_atom_site_label
_atom_site_type_symbol
_atom_site_fract_x
_atom_site_fract_y
_atom_site_fract_z
Tb1 Tb 0.0000 0.1138 0.0825
Al1 Al 0.0000 0.0000 0.5000
Al2 Al 0.2500 0.2173 0.7500
Ge1 Ge 0.0000 0.1847 0.4490
Ge2 Ge 0.2500 0.0467 0.7500
```

Values from the calculation:
- M_tot: 0.00 μB per formula unit
- Crystal system: orthorhombic
- Energy of formation: -446 meV/atom


First-principles (PBE) data for a geometry-optimized TbAl2Ge2 structure, as listed in the Materials Project database.

CIF file:
```
data_TbAl2Ge2
_space_group_name_H-M_alt 'P -3 m 1'
_space_group_IT_number 164
_space_group_name_Hall '-P 3 2"'
_cell_length_a 4.2897
_cell_length_b 4.2897
_cell_length_c 6.6354
_cell_angle_alpha 90.00
_cell_angle_beta 90.00
_cell_angle_gamma 120.00
loop_
_atom_site_label
_atom_site_type_symbol
_atom_site_fract_x
_atom_site_fract_y
_atom_site_fract_z
Tb1 Tb 0.0000 0.0000 0.0000
Al1 Al 0.3333 0.6667 0.6463
Ge1 Ge 0.3333 0.6667 0.2587
```

Values from the calculation:
- Crystal system: trigonal
- Energy of formation: -421 meV/atom


First-principles (PBE) data for a geometry-optimized Tb2AlGe3 structure, as listed in the Materials Project database.

CIF file:
```
data_Tb2AlGe3
_space_group_name_H-M_alt 'P n m a'
_space_group_IT_number 62
_space_group_name_Hall '-P 2ac 2n'
_cell_length_a 6.8091
_cell_length_b 4.2348
_cell_length_c 17.8267
_cell_angle_alpha 90.00
_cell_angle_beta 90.00
_cell_angle_gamma 90.00
loop_
_atom_site_label
_atom_site_type_symbol
_atom_site_fract_x
_atom_site_fract_y
_atom_site_fract_z
Tb1 Tb 0.1692 0.2500 0.2042
Tb2 Tb 0.1716 0.2500 0.4148
Al1 Al 0.0503 0.7500 0.0646
Ge1 Ge 0.0333 0.2500 0.6728
Ge2 Ge 0.1447 0.2500 0.8117
Ge3 Ge 0.2484 0.2500 0.0346
```

Values from the calculation:
- M_tot: 0.00 μB per formula unit
- Crystal system: orthorhombic
- Energy of formation: -650 meV/atom


First-principles (PBE) data for a geometry-optimized TbAlGe structure, as listed in the Materials Project database.

CIF file:
```
data_TbAlGe
_space_group_name_H-M_alt 'C m c m'
_space_group_IT_number 63
_space_group_name_Hall '-C 2c 2'
_cell_length_a 4.0936
_cell_length_b 10.4965
_cell_length_c 5.7832
_cell_angle_alpha 90.00
_cell_angle_beta 90.00
_cell_angle_gamma 90.00
loop_
_atom_site_label
_atom_site_type_symbol
_atom_site_fract_x
_atom_site_fract_y
_atom_site_fract_z
Tb1 Tb 0.0000 0.1897 0.2500
Al1 Al 0.0000 0.5000 0.0000
Ge1 Ge 0.0000 0.1057 0.7500
```

Values from the calculation:
- Crystal system: orthorhombic
- Energy of formation: -660 meV/atom


First-principles (PBE) data for a geometry-optimized TbAlGe structure, as listed in the Materials Project database.

CIF file:
```
data_TbAlGe
_space_group_name_H-M_alt 'C m c m'
_space_group_IT_number 63
_space_group_name_Hall '-C 2c 2'
_cell_length_a 3.9996
_cell_length_b 10.7127
_cell_length_c 6.0236
_cell_angle_alpha 90.00
_cell_angle_beta 90.00
_cell_angle_gamma 90.00
loop_
_atom_site_label
_atom_site_type_symbol
_atom_site_fract_x
_atom_site_fract_y
_atom_site_fract_z
Tb1 Tb 0.0000 0.1851 0.2500
Al1 Al 0.0000 0.0986 0.7500
Ge1 Ge 0.0000 0.5000 0.0000
```

Values from the calculation:
- M_tot: 0.00 μB per formula unit
- Crystal system: orthorhombic
- Energy of formation: -432 meV/atom


First-principles (PBE) data for a geometry-optimized Th4AlGe structure, as listed in the Materials Project database.

CIF file:
```
data_Th4AlGe
_space_group_name_H-M_alt 'I 4 2 2'
_space_group_IT_number 97
_space_group_name_Hall 'I 4 2'
_cell_length_a 7.5950
_cell_length_b 7.5950
_cell_length_c 5.8331
_cell_angle_alpha 90.00
_cell_angle_beta 90.00
_cell_angle_gamma 90.00
loop_
_atom_site_label
_atom_site_type_symbol
_atom_site_fract_x
_atom_site_fract_y
_atom_site_fract_z
Th1 Th 0.1598 0.3402 0.2500
Al1 Al 0.0000 0.0000 0.5000
Ge1 Ge 0.0000 0.0000 0.0000
```

Values from the calculation:
- Crystal system: tetragonal
- Energy of formation: -399 meV/atom


First-principles (PBE) data for a geometry-optimized TiAl3Ge structure, as listed in the Materials Project database.

CIF file:
```
data_TiAl3Ge
_space_group_name_H-M_alt 'P 4 m m'
_space_group_IT_number 99
_space_group_name_Hall 'P 4 -2'
_cell_length_a 4.0053
_cell_length_b 4.0053
_cell_length_c 10.5911
_cell_angle_alpha 90.00
_cell_angle_beta 90.00
_cell_angle_gamma 90.00
loop_
_atom_site_label
_atom_site_type_symbol
_atom_site_fract_x
_atom_site_fract_y
_atom_site_fract_z
Ti1 Ti 0.0000 0.5000 0.0000
Al1 Al 0.0000 0.0000 0.1884
Al2 Al 0.0000 0.0000 0.8087
Al3 Al 0.0000 0.5000 0.6135
Al4 Al 0.5000 0.5000 0.4147
Al5 Al 0.5000 0.5000 0.8087
Ge1 Ge 0.0000 0.0000 0.4308
Ge2 Ge 0.5000 0.5000 0.1747
```

Values from the calculation:
- M_tot: 0.00 μB per formula unit
- Crystal system: tetragonal
- Energy of formation: -147 meV/atom


First-principles (PBE) data for a geometry-optimized Ti4AlGe7 structure, as listed in the Materials Project database.

CIF file:
```
data_Ti4AlGe7
_space_group_name_H-M_alt 'I -4 m 2'
_space_group_IT_number 119
_space_group_name_Hall 'I -4 -2'
_cell_length_a 3.6994
_cell_length_b 3.6994
_cell_length_c 28.3495
_cell_angle_alpha 90.00
_cell_angle_beta 90.00
_cell_angle_gamma 90.00
loop_
_atom_site_label
_atom_site_type_symbol
_atom_site_fract_x
_atom_site_fract_y
_atom_site_fract_z
Ti1 Ti 0.0000 0.0000 0.1747
Ti2 Ti 0.0000 0.5000 0.5729
Al1 Al 0.0000 0.5000 0.7500
Ge1 Ge 0.0000 0.0000 0.0000
Ge2 Ge 0.0000 0.0000 0.3412
Ge3 Ge 0.0000 0.0000 0.5000
Ge4 Ge 0.0000 0.5000 0.0936
Ge5 Ge 0.0000 0.5000 0.2500
```

Values from the calculation:
- M_tot: 0.00 μB per formula unit
- Crystal system: tetragonal
- Energy of formation: -447 meV/atom


First-principles (PBE) data for a geometry-optimized Tm2AlGe3 structure, as listed in the Materials Project database.

CIF file:
```
data_Tm2AlGe3
_space_group_name_H-M_alt 'P n m a'
_space_group_IT_number 62
_space_group_name_Hall '-P 2ac 2n'
_cell_length_a 6.7986
_cell_length_b 4.1339
_cell_length_c 17.5308
_cell_angle_alpha 90.00
_cell_angle_beta 90.00
_cell_angle_gamma 90.00
loop_
_atom_site_label
_atom_site_type_symbol
_atom_site_fract_x
_atom_site_fract_y
_atom_site_fract_z
Tm1 Tm 0.1660 0.2500 0.2032
Tm2 Tm 0.1676 0.2500 0.4146
Al1 Al 0.0488 0.7500 0.0642
Ge1 Ge 0.0360 0.2500 0.6717
Ge2 Ge 0.1462 0.2500 0.8116
Ge3 Ge 0.2472 0.7500 0.5347
```

Values from the calculation:
- M_tot: 0.00 μB per formula unit
- Crystal system: orthorhombic
- Energy of formation: -598 meV/atom


First-principles (PBE) data for a geometry-optimized TmAl2Ge2 structure, as listed in the Materials Project database.

CIF file:
```
data_TmAl2Ge2
_space_group_name_H-M_alt 'P -3 m 1'
_space_group_IT_number 164
_space_group_name_Hall '-P 3 2"'
_cell_length_a 4.2856
_cell_length_b 4.2856
_cell_length_c 6.5242
_cell_angle_alpha 90.00
_cell_angle_beta 90.00
_cell_angle_gamma 120.00
loop_
_atom_site_label
_atom_site_type_symbol
_atom_site_fract_x
_atom_site_fract_y
_atom_site_fract_z
Tm1 Tm 0.0000 0.0000 0.0000
Al1 Al 0.3333 0.6667 0.6465
Ge1 Ge 0.3333 0.6667 0.2528
```

Values from the calculation:
- Crystal system: trigonal
- Energy of formation: -381 meV/atom


What is the formula in the seventh record?
TbAlGe


What did the sixth record say?
First-principles (PBE) data for a geometry-optimized TbAlGe structure, as listed in the Materials Project database.

CIF file:
```
data_TbAlGe
_space_group_name_H-M_alt 'C m c m'
_space_group_IT_number 63
_space_group_name_Hall '-C 2c 2'
_cell_length_a 4.0936
_cell_length_b 10.4965
_cell_length_c 5.7832
_cell_angle_alpha 90.00
_cell_angle_beta 90.00
_cell_angle_gamma 90.00
loop_
_atom_site_label
_atom_site_type_symbol
_atom_site_fract_x
_atom_site_fract_y
_atom_site_fract_z
Tb1 Tb 0.0000 0.1897 0.2500
Al1 Al 0.0000 0.5000 0.0000
Ge1 Ge 0.0000 0.1057 0.7500
```

Values from the calculation:
- Crystal system: orthorhombic
- Energy of formation: -660 meV/atom


Which of these has the lowest energy of formation?
number 6